[1]
Density functional theory data (PBE) for a relaxed BaCr2N4 crystal.

Lattice parameters (Å, degrees): 10.844 10.844 10.844 90.00 90.00 90.00
Positions (direct):
Ba: 0.000 0.000 0.000
Ba: 0.000 0.500 0.500
Ba: 0.127 0.627 0.873
Ba: 0.127 0.873 0.373
Ba: 0.373 0.127 0.873
Ba: 0.373 0.373 0.373
Ba: 0.500 0.000 0.500
Ba: 0.500 0.500 0.000
Ba: 0.627 0.627 0.627
Ba: 0.627 0.873 0.127
Ba: 0.873 0.127 0.627
Ba: 0.873 0.373 0.127
Cr: 0.112 0.192 0.345
Cr: 0.112 0.308 0.845
Cr: 0.155 0.612 0.192
Cr: 0.155 0.888 0.692
Cr: 0.192 0.155 0.612
Cr: 0.192 0.345 0.112
Cr: 0.308 0.655 0.612
Cr: 0.308 0.845 0.112
Cr: 0.345 0.112 0.192
Cr: 0.345 0.388 0.692
Cr: 0.388 0.692 0.345
Cr: 0.388 0.808 0.845
Cr: 0.612 0.192 0.155
Cr: 0.612 0.308 0.655
Cr: 0.655 0.612 0.308
Cr: 0.655 0.888 0.808
Cr: 0.692 0.155 0.888
Cr: 0.692 0.345 0.388
Cr: 0.808 0.655 0.888
Cr: 0.808 0.845 0.388
Cr: 0.845 0.112 0.308
Cr: 0.845 0.388 0.808
Cr: 0.888 0.692 0.155
Cr: 0.888 0.808 0.655
N: 0.002 0.086 0.275
N: 0.002 0.414 0.775
N: 0.086 0.225 0.502
N: 0.086 0.275 0.002
N: 0.122 0.168 0.759
N: 0.122 0.332 0.259
N: 0.168 0.741 0.622
N: 0.168 0.759 0.122
N: 0.225 0.502 0.086
N: 0.225 0.998 0.586
N: 0.241 0.622 0.332
N: 0.241 0.878 0.832
N: 0.259 0.122 0.332
N: 0.259 0.378 0.832
N: 0.275 0.002 0.086
N: 0.275 0.498 0.586
N: 0.332 0.241 0.622
N: 0.332 0.259 0.122
N: 0.378 0.668 0.759
N: 0.378 0.832 0.259
N: 0.414 0.725 0.502
N: 0.414 0.775 0.002
N: 0.498 0.586 0.275
N: 0.498 0.914 0.775
N: 0.502 0.086 0.225
N: 0.502 0.414 0.725
N: 0.586 0.225 0.998
N: 0.586 0.275 0.498
N: 0.622 0.168 0.741
N: 0.622 0.332 0.241
N: 0.668 0.741 0.878
N: 0.668 0.759 0.378
N: 0.725 0.502 0.414
N: 0.725 0.998 0.914
N: 0.741 0.622 0.168
N: 0.741 0.878 0.668
N: 0.759 0.122 0.168
N: 0.759 0.378 0.668
N: 0.775 0.002 0.414
N: 0.775 0.498 0.914
N: 0.832 0.241 0.878
N: 0.832 0.259 0.378
N: 0.878 0.668 0.741
N: 0.878 0.832 0.241
N: 0.914 0.725 0.998
N: 0.914 0.775 0.498
N: 0.998 0.586 0.225
N: 0.998 0.914 0.725

Calculated values
- V (Å³ per cell) = 1275.2
- ΔH_f (0 K) (meV per atom) = -759
- crystal system = cubic
- space-group type = Pa-3, No. 205
- DFT total energy (eV/atom) = -8.35
- calculated density (g/cm3) = 4.65


[2]
Density functional theory data (PBE) for a relaxed Ba2CrN2 crystal.

Lattice parameters (Å, degrees): 7.303 7.303 7.303 146.86 146.86 47.57
Positions (direct):
Ba: 0.146 0.146 0.000
Ba: 0.854 0.854 0.000
Cr: 0.500 0.500 0.000
N: 0.367 0.367 0.000
N: 0.633 0.633 0.000

Calculated values
- V (Å³ per cell) = 116.0
- ΔH_f (0 K) (meV per atom) = -574
- crystal system = tetragonal
- space-group type = I4/mmm, No. 139
- DFT total energy (eV/atom) = -6.46
- calculated density (g/cm3) = 5.08